(1)
Entry from Materials Project: a relaxed structure of EuGa3Pd (r2SCAN).

Computed properties:
E_form ... -715 meV/atom
Symmetry ... Cmcm
Electronic total energy ... -99.38 eV per formula unit

Geometry as POSCAR:
```
EuGa3Pd
1.0
0.974 1.713 5.741
-5.685 -1.575 -1.426
1.184 -5.607 1.472
Eu Ga Pd
2 6 2
direct
0.234 0.766 0.750 Eu
0.766 0.234 0.250 Eu
0.663 0.337 0.750 Ga
0.337 0.663 0.250 Ga
0.717 0.717 0.000 Ga
0.717 0.717 0.500 Ga
0.283 0.283 0.000 Ga
0.283 0.283 0.500 Ga
0.903 0.097 0.750 Pd
0.097 0.903 0.250 Pd
```

(2)
Entry from Materials Project: a relaxed structure of EuGa2S4 (r2SCAN).

Computed properties:
E_form ... -1324 meV/atom
Symmetry ... Cccm
Electronic total energy ... -102.81 eV per formula unit

Geometry as POSCAR:
```
EuGa2S4
1.0
-2.770 0.526 5.287
1.359 -5.443 -2.104
9.241 0.453 4.797
Eu Ga S
2 4 8
direct
0.500 0.500 0.750 Eu
0.500 0.500 0.250 Eu
0.765 0.238 0.500 Ga
0.235 0.762 0.500 Ga
0.762 0.235 0.000 Ga
0.238 0.765 0.000 Ga
0.353 0.184 0.500 S
0.647 0.816 0.500 S
0.816 0.647 0.000 S
0.184 0.353 0.000 S
0.500 0.000 0.834 S
0.000 0.500 0.666 S
0.500 0.000 0.166 S
0.000 0.500 0.334 S
```

(3)
Entry from Materials Project: a relaxed structure of EuGa2S4 (r2SCAN).

Computed properties:
E_form ... -1339 meV/atom
Symmetry ... Fddd
Electronic total energy ... -102.91 eV per formula unit

Geometry as POSCAR:
```
EuGa2S4
1.0
8.870 1.248 11.469
0.269 8.804 8.199
-1.044 -5.505 10.506
Eu Ga S
8 16 32
direct
0.248 0.248 0.752 Eu
0.000 0.000 0.000 Eu
0.250 0.250 0.250 Eu
0.500 0.500 0.500 Eu
0.002 0.002 0.498 Eu
0.498 0.498 0.002 Eu
0.752 0.752 0.248 Eu
0.750 0.750 0.750 Eu
0.760 0.489 0.014 Ga
0.489 0.760 0.737 Ga
0.490 0.761 0.236 Ga
0.265 0.985 0.593 Ga
0.593 0.156 0.265 Ga
0.265 0.985 0.094 Ga
0.014 0.737 0.760 Ga
0.236 0.513 0.490 Ga
0.737 0.014 0.489 Ga
0.985 0.265 0.156 Ga
0.156 0.593 0.985 Ga
0.657 0.094 0.985 Ga
0.761 0.490 0.513 Ga
0.094 0.657 0.265 Ga
0.985 0.265 0.657 Ga
0.513 0.236 0.761 Ga
0.782 0.470 0.310 S
0.780 0.468 0.812 S
0.310 0.438 0.782 S
0.041 0.043 0.209 S
0.438 0.310 0.470 S
0.777 0.975 0.284 S
0.041 0.543 0.709 S
0.468 0.780 0.940 S
0.707 0.209 0.544 S
0.812 0.940 0.780 S
0.544 0.541 0.707 S
0.043 0.041 0.707 S
0.940 0.812 0.468 S
0.964 0.284 0.975 S
0.543 0.041 0.207 S
0.209 0.207 0.041 S
0.966 0.286 0.473 S
0.209 0.707 0.041 S
0.709 0.706 0.041 S
0.473 0.275 0.966 S
0.284 0.964 0.777 S
0.275 0.473 0.286 S
0.470 0.782 0.438 S
0.286 0.966 0.275 S
0.209 0.707 0.541 S
0.207 0.209 0.543 S
0.707 0.209 0.043 S
0.543 0.041 0.706 S
0.706 0.709 0.543 S
0.041 0.543 0.209 S
0.975 0.777 0.964 S
0.541 0.544 0.209 S
```